DFT (PBE) results for an optimized crystal structure of BaMg6W.

It has space group P4/mmm (No. 123), with a = 6.6823 Å, b = 6.6823 Å, c = 4.3651 Å, α = 90.00°, β = 90.00° and γ = 90.00°. The inequivalent atoms are Ba at (0.0000, 0.0000, 0.0000), Mg at (0.0000, 0.5000, 0.0000), Mg at (0.2886, 0.2886, 0.5000) and W at (0.5000, 0.5000, 0.0000).

The calculation puts the spin magnetization at 0.01 Bohr magnetons per cell. Its total energy is -0.0992 hartree per atom. The calculated formation energy comes out at 2.87 eV per formula unit. Its crystal system is tetragonal. The calculated volume comes out at 24.4 Å³/atom.